(1)
Here is a relaxed LaSi crystal from the Materials Project database. Energies are from r2SCAN.

Lattice parameters (Å, degrees): 4.007 6.070 8.493 90.00 90.00 90.00
Fractional coordinates of all 8 atoms:
La: 0.250 0.387 0.680
La: 0.250 0.113 0.180
La: 0.750 0.613 0.320
La: 0.750 0.887 0.820
Si: 0.750 0.384 0.967
Si: 0.750 0.116 0.467
Si: 0.250 0.616 0.033
Si: 0.250 0.884 0.533

Computed properties:
total moment: 0.0 μB/f.u.
space-group type: Pnma (62)
energy relative to the elements: -801 meV/atom

(2)
Here is a relaxed La2Si3 crystal from the Materials Project database. Energies are from r2SCAN.

Lattice parameters (Å, degrees): 7.797 7.797 7.797 150.20 147.59 44.61
Fractional coordinates of all 5 atoms:
La: 0.625 0.625 0.000
La: 0.876 0.376 0.500
Si: 0.459 0.959 0.500
Si: 0.297 0.797 0.500
Si: 0.206 0.206 0.000

Computed properties:
total moment: 0.0 μB/f.u.
space-group type: Imm2 (44)
energy relative to the elements: -709 meV/atom

(3)
Here is a relaxed La5Si4 crystal from the Materials Project database. Energies are from r2SCAN.

Lattice parameters (Å, degrees): 8.046 8.046 15.696 90.00 90.00 90.01
Fractional coordinates of all 36 atoms:
La: 0.874 0.022 0.375
La: 0.808 0.192 0.750
La: 0.121 0.512 0.802
La: 0.988 0.621 0.053
La: 0.012 0.379 0.553
La: 0.879 0.488 0.302
La: 0.693 0.693 0.500
La: 0.626 0.523 0.875
La: 0.512 0.121 0.198
La: 0.523 0.626 0.125
La: 0.126 0.978 0.875
La: 0.192 0.808 0.250
La: 0.978 0.126 0.125
La: 0.022 0.874 0.625
La: 0.379 0.012 0.447
La: 0.307 0.307 0.000
La: 0.488 0.879 0.698
La: 0.477 0.374 0.625
La: 0.374 0.477 0.375
La: 0.621 0.988 0.947
Si: 0.920 0.289 0.941
Si: 0.195 0.171 0.706
Si: 0.211 0.420 0.191
Si: 0.080 0.711 0.441
Si: 0.672 0.304 0.456
Si: 0.789 0.580 0.691
Si: 0.580 0.789 0.309
Si: 0.171 0.195 0.294
Si: 0.711 0.080 0.559
Si: 0.696 0.328 0.044
Si: 0.829 0.805 0.794
Si: 0.304 0.672 0.544
Si: 0.805 0.829 0.206
Si: 0.420 0.211 0.809
Si: 0.328 0.696 0.956
Si: 0.289 0.920 0.059

Computed properties:
total moment: 0.9 μB/f.u.
space-group type: C222_1 (20)
energy relative to the elements: -772 meV/atom

(4)
Here is a relaxed LaSi crystal from the Materials Project database. Energies are from r2SCAN.

Lattice parameters (Å, degrees): 4.605 6.646 7.109 90.00 108.90 90.00
Fractional coordinates of all 8 atoms:
Si: 0.091 0.564 0.183
Si: 0.091 0.936 0.183
Si: 0.909 0.436 0.817
Si: 0.909 0.064 0.817
La: 0.725 0.750 0.450
La: 0.275 0.250 0.550
La: 0.449 0.750 0.897
La: 0.551 0.250 0.103

Computed properties:
total moment: 0.0 μB/f.u.
space-group type: Cmcm (63)
energy relative to the elements: -815 meV/atom

(5)
Here is a relaxed La3Si2 crystal from the Materials Project database. Energies are from r2SCAN.

Lattice parameters (Å, degrees): 4.459 7.956 7.956 90.00 90.00 90.00
Fractional coordinates of all 10 atoms:
La: 0.500 0.676 0.824
La: 0.500 0.824 0.324
La: 0.500 0.324 0.176
La: 0.000 0.500 0.500
La: 0.500 0.176 0.676
La: 0.000 0.000 0.000
Si: 0.000 0.109 0.391
Si: 0.000 0.891 0.609
Si: 0.000 0.609 0.109
Si: 0.000 0.391 0.891

Computed properties:
total moment: 0.9 μB/f.u.
space-group type: P4/mbm (127)
energy relative to the elements: -709 meV/atom

(6)
Here is a relaxed La3Sm crystal from the Materials Project database. Energies are from r2SCAN.

Lattice parameters (Å, degrees): 6.435 6.435 6.435 131.57 131.57 70.91
Fractional coordinates of all 4 atoms:
La: 0.500 0.500 0.000
La: 0.250 0.750 0.500
La: 0.750 0.250 0.500
Sm: 0.000 0.000 0.000

Computed properties:
total moment: 0.0 μB/f.u.
space-group type: I4/mmm (139)
energy relative to the elements: 25 meV/atom

(7)
Here is a relaxed LaSmZn2 crystal from the Materials Project database. Energies are from r2SCAN.

Lattice parameters (Å, degrees): 5.214 5.214 5.214 60.00 60.00 60.00
Fractional coordinates of all 4 atoms:
Sm: 0.750 0.750 0.750
La: 0.250 0.250 0.250
Zn: 0.000 0.000 0.000
Zn: 0.500 0.500 0.500

Computed properties:
total moment: 0.0 μB/f.u.
space-group type: Fm-3m (225)
energy relative to the elements: -333 meV/atom

(8)
Here is a relaxed La3Sn7 crystal from the Materials Project database. Energies are from r2SCAN.

Lattice parameters (Å, degrees): 4.576 4.687 13.649 90.00 99.65 90.00
Fractional coordinates of all 10 atoms:
Sn: 0.714 0.500 0.428
Sn: 0.286 0.500 0.572
Sn: 0.407 0.000 0.813
Sn: 0.593 0.000 0.187
Sn: 0.500 0.500 0.000
Sn: 0.094 0.500 0.189
Sn: 0.906 0.500 0.811
La: 0.183 0.000 0.366
La: 0.000 0.000 0.000
La: 0.817 0.000 0.634

Computed properties:
total moment: 0.0 μB/f.u.
space-group type: Cmmm (65)
energy relative to the elements: -671 meV/atom

(9)
Here is a relaxed La3Sn4 crystal from the Materials Project database. Energies are from r2SCAN.

Lattice parameters (Å, degrees): 4.591 6.407 15.962 90.00 90.00 69.01
Fractional coordinates of all 14 atoms:
Sn: 0.384 0.232 0.392
Sn: 0.616 0.768 0.892
Sn: 0.616 0.768 0.608
Sn: 0.773 0.454 0.750
Sn: 0.000 0.000 0.000
Sn: 0.384 0.232 0.108
Sn: 0.000 0.000 0.500
Sn: 0.227 0.546 0.250
La: 0.956 0.088 0.250
La: 0.672 0.656 0.403
La: 0.672 0.656 0.097
La: 0.044 0.912 0.750
La: 0.328 0.344 0.597
La: 0.328 0.344 0.903

Computed properties:
total moment: 0.0 μB/f.u.
space-group type: Cmcm (63)
energy relative to the elements: -868 meV/atom

(10)
Here is a relaxed La5Sn3 crystal from the Materials Project database. Energies are from r2SCAN.

Lattice parameters (Å, degrees): 9.612 9.612 6.955 90.00 90.00 120.00
Fractional coordinates of all 16 atoms:
La: 0.000 0.738 0.250
La: 0.262 0.262 0.250
La: 0.262 0.000 0.750
La: 0.738 0.738 0.750
La: 0.667 0.333 0.000
La: 0.738 0.000 0.250
La: 0.333 0.667 0.500
La: 0.333 0.667 0.000
La: 0.000 0.262 0.750
La: 0.667 0.333 0.500
Sn: 0.000 0.616 0.750
Sn: 0.384 0.383 0.750
Sn: 0.617 0.616 0.250
Sn: 0.000 0.383 0.250
Sn: 0.617 0.000 0.750
Sn: 0.384 0.000 0.250

Computed properties:
total moment: 2.8 μB/f.u.
space-group type: P6_3/mcm (193)
energy relative to the elements: -839 meV/atom

(11)
Here is a relaxed LaSn3 crystal from the Materials Project database. Energies are from r2SCAN.

Lattice parameters (Å, degrees): 4.804 4.804 4.804 90.00 90.00 90.00
Fractional coordinates of all 4 atoms:
Sn: 0.500 0.500 0.000
Sn: 0.000 0.500 0.500
Sn: 0.500 0.000 0.500
La: 0.000 0.000 0.000

Computed properties:
total moment: 0.0 μB/f.u.
space-group type: Pm-3m (221)
energy relative to the elements: -567 meV/atom

(12)
Here is a relaxed La3Sn crystal from the Materials Project database. Energies are from r2SCAN.

Lattice parameters (Å, degrees): 5.039 5.039 5.039 90.00 90.00 90.00
Fractional coordinates of all 4 atoms:
La: 0.000 0.500 0.500
La: 0.500 0.000 0.500
La: 0.500 0.500 0.000
Sn: 0.000 0.000 0.000

Computed properties:
total moment: 0.0 μB/f.u.
space-group type: Pm-3m (221)
energy relative to the elements: -556 meV/atom